Record 1
Density functional theory data (PBE) for a relaxed Gd3ErNi4 crystal.

a b c (Å): 3.755 4.230 10.210
angles (deg): 90.00 90.00 90.00
Space group Pmm2 (No. 25)
Symmetry-distinct sites (fractional):
Gd1 0.000 0.000 0.000 x1
Gd2 0.000 0.500 0.281 x1
Gd3 0.500 0.500 0.774 x1
Er1 0.500 0.000 0.500 x1
Ni1 0.000 0.000 0.705 x1
Ni2 0.000 0.500 0.564 x1
Ni3 0.500 0.000 0.212 x1
Ni4 0.500 0.500 0.067 x1

Values from the calculation:
Its final energy is -9.16 eV per atom. As for the crystal system: orthorhombic. The calculation puts the formation energy at -0.425 eV/atom.

Record 2
Density functional theory data (PBE) for a relaxed Er2Ge5 crystal.

a b c (Å): 3.925 4.044 18.320
angles (deg): 90.00 90.00 90.00
Space group Pmmn (No. 59, origin choice 2)
Symmetry-distinct sites (fractional):
Er1 0.250 0.250 0.127 x2
Er2 0.250 0.750 0.691 x2
Ge1 0.250 0.250 0.432 x2
Ge2 0.250 0.250 0.569 x2
Ge3 0.250 0.250 0.830 x2
Ge4 0.250 0.750 0.003 x2
Ge5 0.250 0.750 0.262 x2

Values from the calculation:
Its final energy is -5.12 eV per atom. As for the crystal system: orthorhombic. The calculation puts the formation energy at -0.509 eV/atom.

Record 3
Density functional theory data (PBE) for a relaxed ErGe3 crystal.

a b c (Å): 4.023 20.757 3.935
angles (deg): 90.00 90.00 90.00
Space group Cmcm (No. 63)
Symmetry-distinct sites (fractional):
Er1 0.000 0.082 0.250 x4
Ge1 0.000 0.191 0.750 x4
Ge2 0.000 0.311 0.750 x4
Ge3 0.000 0.460 0.250 x4

Values from the calculation:
Its final energy is -5.05 eV per atom. As for the crystal system: orthorhombic. The calculation puts the formation energy at -0.442 eV/atom.

Record 4
Density functional theory data (PBE) for a relaxed Er2Ge3 crystal.

a b c (Å): 6.971 4.384 7.615
angles (deg): 90.00 90.00 90.00
Space group Amm2 (No. 38)
Symmetry-distinct sites (fractional):
Er1 0.229 0.000 0.000 x4
Ge1 0.000 0.000 0.667 x2
Ge2 0.500 0.000 0.334 x2
Ge3 0.500 0.000 0.667 x2

Values from the calculation:
Its final energy is -5.06 eV per atom. For the total magnetization, the calculation gives 0.00 Bohr magnetons per cell. As for the crystal system: orthorhombic. The calculation puts the formation energy at -0.460 eV/atom.

Record 5
Density functional theory data (PBE) for a relaxed Er5Ge4 crystal.

a b c (Å): 7.542 14.575 7.680
angles (deg): 90.00 90.00 90.00
Space group Pnma (No. 62)
Symmetry-distinct sites (fractional):
Er1 0.017 0.097 0.183 x8
Er2 0.132 0.619 0.338 x8
Er3 0.206 0.250 0.499 x4
Ge1 0.072 0.250 0.883 x4
Ge2 0.175 0.750 0.640 x4
Ge3 0.212 0.044 0.535 x8

Values from the calculation:
Its final energy is -5.44 eV per atom. For the total magnetization, the calculation gives 0.00 Bohr magnetons per cell. As for the crystal system: orthorhombic. The calculation puts the formation energy at -0.847 eV/atom.

Record 6
Density functional theory data (PBE) for a relaxed Er3Ge4 crystal.

a b c (Å): 4.036 10.619 14.226
angles (deg): 90.00 90.00 90.00
Space group Cmcm (No. 63)
Symmetry-distinct sites (fractional):
Er1 0.000 0.048 0.250 x4
Er2 0.000 0.331 0.097 x8
Ge1 0.000 0.000 0.000 x4
Ge2 0.000 0.223 0.750 x4
Ge3 0.000 0.380 0.608 x8

Values from the calculation:
Its final energy is -5.37 eV per atom. As for the crystal system: orthorhombic. The calculation puts the formation energy at -0.768 eV/atom.

Record 7
Density functional theory data (PBE) for a relaxed Er3Ge crystal.

a b c (Å): 4.467 4.467 10.189
angles (deg): 90.00 90.00 90.00
Space group I4/mmm (No. 139)
Symmetry-distinct sites (fractional):
Er1 0.000 0.000 0.000 x2
Er2 0.000 0.500 0.250 x4
Ge1 0.000 0.000 0.500 x2

Values from the calculation:
Its final energy is -4.88 eV per atom. For the total magnetization, the calculation gives 0.00 Bohr magnetons per cell. As for the crystal system: tetragonal. The calculation puts the formation energy at -0.294 eV/atom.

Record 8
Density functional theory data (PBE) for a relaxed Er11Ge10 crystal.

a b c (Å): 10.866 10.866 16.311
angles (deg): 90.00 90.00 90.00
Space group I4/mmm (No. 139)
Symmetry-distinct sites (fractional):
Er1 0.000 0.000 0.160 x4
Er2 0.000 0.252 0.310 x16
Er3 0.000 0.324 0.103 x16
Er4 0.178 0.178 0.500 x8
Ge1 0.000 0.000 0.387 x4
Ge2 0.000 0.360 0.500 x8
Ge3 0.000 0.500 0.250 x4
Ge4 0.120 0.120 0.000 x8
Ge5 0.210 0.210 0.181 x16

Values from the calculation:
Its final energy is -5.43 eV per atom. As for the crystal system: tetragonal. The calculation puts the formation energy at -0.841 eV/atom.

Record 9
Density functional theory data (PBE) for a relaxed ErGeIr crystal.

a b c (Å): 6.829 4.297 7.607
angles (deg): 90.00 90.00 90.00
Space group Pnma (No. 62)
Symmetry-distinct sites (fractional):
Er1 0.005 0.250 0.192 x4
Ge1 0.210 0.750 0.388 x4
Ir1 0.162 0.250 0.564 x4

Values from the calculation:
Its final energy is -6.96 eV per atom. As for the crystal system: orthorhombic. The calculation puts the formation energy at -0.951 eV/atom.

Record 10
Density functional theory data (PBE) for a relaxed Er3Ge13Ir4 crystal.

a b c (Å): 9.033 9.033 9.033
angles (deg): 90.00 90.00 90.00
Space group Pm-3n (No. 223)
Symmetry-distinct sites (fractional):
Er1 0.000 0.250 0.500 x6
Ge1 0.000 0.000 0.000 x2
Ge2 0.000 0.310 0.146 x24
Ir1 0.250 0.250 0.250 x8

Values from the calculation:
Its final energy is -5.96 eV per atom. For the total magnetization, the calculation gives 0.00 Bohr magnetons per cell. As for the crystal system: cubic. The calculation puts the formation energy at -0.505 eV/atom.

Record 11
Density functional theory data (PBE) for a relaxed Er5Ge10Ir4 crystal.

a b c (Å): 13.012 13.012 4.327
angles (deg): 90.00 90.00 90.00
Space group P4/mbm (No. 127)
Symmetry-distinct sites (fractional):
Er1 0.000 0.000 0.000 x2
Er2 0.116 0.384 0.500 x4
Er3 0.174 0.674 0.500 x4
Ge1 0.009 0.844 0.500 x8
Ge2 0.066 0.566 0.000 x4
Ge3 0.163 0.200 0.000 x8
Ir1 0.021 0.753 0.000 x8

Values from the calculation:
Its final energy is -6.24 eV per atom. For the total magnetization, the calculation gives 0.07 Bohr magnetons per cell. As for the crystal system: tetragonal. The calculation puts the formation energy at -0.746 eV/atom.

Record 12
Density functional theory data (PBE) for a relaxed LaEr4Ge3 crystal.

a b c (Å): 8.5268 8.5268 6.4969
angles (deg): 90.00 90.00 120.00
Space group P-31m (No. 162)
Symmetry-distinct sites (fractional):
La1 0.3333 0.6667 0.0000 x2
Er1 0.0000 0.2414 0.2568 x6
Er2 0.3333 0.6667 0.5000 x2
Ge1 0.0000 0.3893 0.7327 x6

Values from the calculation:
Its final energy is -5.39 eV per atom. For the total magnetization, the calculation gives 0.01 Bohr magnetons per cell. As for the crystal system: trigonal. The calculation puts the formation energy at -0.755 eV/atom.